No. 1
Density functional theory data (meta-GGA r2SCAN) for crystalline Gd6CoCl10 at its relaxed geometry.

symmetry	P-1 (2)

```
data_Gd6CoCl10
_chemical_formula_sum 'Gd6 Co1 Cl10'
_space_group_name_H-M_alt 'P 1'
_space_group_IT_number 1
_cell_length_a 7.156
_cell_length_b 8.746
_cell_length_c 8.901
_cell_angle_alpha 109.91
_cell_angle_beta 107.13
_cell_angle_gamma 96.75
loop_
_space_group_symop_operation_xyz
'x,y,z'
loop_
_atom_site_label
_atom_site_type_symbol
_atom_site_fract_x
_atom_site_fract_y
_atom_site_fract_z
Gd1 Gd 0.022 0.392 0.187
Gd2 Gd 0.130 0.261 0.550
Gd3 Gd 0.374 0.698 0.648
Gd4 Gd 0.626 0.302 0.352
Gd5 Gd 0.870 0.739 0.450
Gd6 Gd 0.978 0.608 0.813
Co1 Co 0.000 0.500 0.500
Cl1 Cl 0.093 0.335 0.870
Cl2 Cl 0.201 0.141 0.241
Cl3 Cl 0.248 0.961 0.582
Cl4 Cl 0.366 0.785 0.967
Cl5 Cl 0.450 0.576 0.326
Cl6 Cl 0.550 0.424 0.674
Cl7 Cl 0.634 0.215 0.033
Cl8 Cl 0.752 0.039 0.418
Cl9 Cl 0.799 0.859 0.759
Cl10 Cl 0.907 0.665 0.130
```

No. 2
Density functional theory data (meta-GGA r2SCAN) for crystalline Na2CoCl4 at its relaxed geometry.

symmetry	Pnma (62)

```
data_Na2CoCl4
_chemical_formula_sum 'Na8 Co4 Cl16'
_space_group_name_H-M_alt 'P 1'
_space_group_IT_number 1
_cell_length_a 13.599
_cell_length_b 8.037
_cell_length_c 6.339
_cell_angle_alpha 90.00
_cell_angle_beta 90.00
_cell_angle_gamma 90.00
loop_
_space_group_symop_operation_xyz
'x,y,z'
loop_
_atom_site_label
_atom_site_type_symbol
_atom_site_fract_x
_atom_site_fract_y
_atom_site_fract_z
Na1 Na 0.000 0.000 0.000
Na2 Na 0.000 0.500 0.000
Na3 Na 0.229 0.250 0.483
Na4 Na 0.271 0.750 0.983
Na5 Na 0.500 0.000 0.500
Na6 Na 0.500 0.500 0.500
Na7 Na 0.729 0.250 0.017
Na8 Na 0.771 0.750 0.517
Co1 Co 0.091 0.750 0.406
Co2 Co 0.409 0.250 0.906
Co3 Co 0.591 0.750 0.094
Co4 Co 0.909 0.250 0.594
Cl1 Cl 0.063 0.250 0.733
Cl2 Cl 0.091 0.750 0.760
Cl3 Cl 0.166 0.527 0.256
Cl4 Cl 0.166 0.973 0.256
Cl5 Cl 0.334 0.027 0.756
Cl6 Cl 0.334 0.473 0.756
Cl7 Cl 0.409 0.250 0.260
Cl8 Cl 0.437 0.750 0.233
Cl9 Cl 0.563 0.250 0.767
Cl10 Cl 0.591 0.750 0.740
Cl11 Cl 0.666 0.527 0.244
Cl12 Cl 0.666 0.973 0.244
Cl13 Cl 0.834 0.027 0.744
Cl14 Cl 0.834 0.473 0.744
Cl15 Cl 0.909 0.250 0.240
Cl16 Cl 0.937 0.750 0.267
```

No. 3
Density functional theory data (meta-GGA r2SCAN) for crystalline Sr2CoCl2O2 at its relaxed geometry.

```
data_Sr2CoCl2O2
_chemical_formula_sum 'Sr4 Co2 Cl4 O4'
_space_group_name_H-M_alt 'P 1'
_space_group_IT_number 1
_cell_length_a 5.713
_cell_length_b 8.143
_cell_length_c 5.714
_cell_angle_alpha 110.53
_cell_angle_beta 90.00
_cell_angle_gamma 90.00
loop_
_space_group_symop_operation_xyz
'x,y,z'
loop_
_atom_site_label
_atom_site_type_symbol
_atom_site_fract_x
_atom_site_fract_y
_atom_site_fract_z
Cl1 Cl 0.000 0.640 0.820
Cl2 Cl 0.000 0.360 0.180
Cl3 Cl 0.500 0.640 0.320
Cl4 Cl 0.500 0.360 0.680
Sr1 Sr 0.500 0.215 0.107
Sr2 Sr 0.000 0.215 0.607
Sr3 Sr 0.000 0.785 0.393
Sr4 Sr 0.500 0.785 0.893
Co1 Co 0.500 0.000 0.500
Co2 Co 0.000 0.000 0.000
O1 O 0.750 0.000 0.750
O2 O 0.250 0.000 0.250
O3 O 0.750 0.000 0.250
O4 O 0.250 0.000 0.750
```

No. 4
Density functional theory data (meta-GGA r2SCAN) for crystalline RbCoCl3 at its relaxed geometry.

symmetry	P6_3/mmc (194)

```
data_RbCoCl3
_chemical_formula_sum 'Rb2 Co2 Cl6'
_space_group_name_H-M_alt 'P 1'
_space_group_IT_number 1
_cell_length_a 7.018
_cell_length_b 7.018
_cell_length_c 5.942
_cell_angle_alpha 90.00
_cell_angle_beta 90.00
_cell_angle_gamma 120.00
loop_
_space_group_symop_operation_xyz
'x,y,z'
loop_
_atom_site_label
_atom_site_type_symbol
_atom_site_fract_x
_atom_site_fract_y
_atom_site_fract_z
Rb1 Rb 0.333 0.667 0.250
Rb2 Rb 0.667 0.333 0.750
Co1 Co 0.000 0.000 0.000
Co2 Co 0.000 0.000 0.500
Cl1 Cl 0.159 0.319 0.750
Cl2 Cl 0.159 0.841 0.750
Cl3 Cl 0.319 0.159 0.250
Cl4 Cl 0.681 0.841 0.750
Cl5 Cl 0.841 0.159 0.250
Cl6 Cl 0.841 0.681 0.250
```

No. 5
Density functional theory data (meta-GGA r2SCAN) for crystalline Rb2CoCl4 at its relaxed geometry.

symmetry	Pnma (62)

```
data_Rb2CoCl4
_chemical_formula_sum 'Rb8 Co4 Cl16'
_space_group_name_H-M_alt 'P 1'
_space_group_IT_number 1
_cell_length_a 9.324
_cell_length_b 7.161
_cell_length_c 12.725
_cell_angle_alpha 90.00
_cell_angle_beta 90.00
_cell_angle_gamma 90.00
loop_
_space_group_symop_operation_xyz
'x,y,z'
loop_
_atom_site_label
_atom_site_type_symbol
_atom_site_fract_x
_atom_site_fract_y
_atom_site_fract_z
Rb1 Rb 0.018 0.250 0.175
Rb2 Rb 0.132 0.750 0.416
Rb3 Rb 0.368 0.250 0.916
Rb4 Rb 0.482 0.750 0.675
Rb5 Rb 0.518 0.250 0.325
Rb6 Rb 0.632 0.750 0.084
Rb7 Rb 0.868 0.250 0.584
Rb8 Rb 0.982 0.750 0.825
Co1 Co 0.228 0.750 0.075
Co2 Co 0.272 0.250 0.575
Co3 Co 0.728 0.750 0.425
Co4 Co 0.772 0.250 0.925
Cl1 Cl 0.012 0.250 0.911
Cl2 Cl 0.177 0.503 0.652
Cl3 Cl 0.177 0.997 0.652
Cl4 Cl 0.184 0.250 0.410
Cl5 Cl 0.316 0.750 0.910
Cl6 Cl 0.323 0.003 0.152
Cl7 Cl 0.323 0.497 0.152
Cl8 Cl 0.488 0.750 0.411
Cl9 Cl 0.512 0.250 0.589
Cl10 Cl 0.677 0.503 0.848
Cl11 Cl 0.677 0.997 0.848
Cl12 Cl 0.684 0.250 0.090
Cl13 Cl 0.816 0.750 0.590
Cl14 Cl 0.823 0.003 0.348
Cl15 Cl 0.823 0.497 0.348
Cl16 Cl 0.988 0.750 0.089
```

No. 6
Density functional theory data (meta-GGA r2SCAN) for crystalline Tb6CoCl10 at its relaxed geometry.

symmetry	P-1 (2)

```
data_Tb6CoCl10
_chemical_formula_sum 'Tb6 Co1 Cl10'
_space_group_name_H-M_alt 'P 1'
_space_group_IT_number 1
_cell_length_a 7.055
_cell_length_b 8.649
_cell_length_c 8.832
_cell_angle_alpha 109.17
_cell_angle_beta 97.16
_cell_angle_gamma 106.46
loop_
_space_group_symop_operation_xyz
'x,y,z'
loop_
_atom_site_label
_atom_site_type_symbol
_atom_site_fract_x
_atom_site_fract_y
_atom_site_fract_z
Tb1 Tb 0.029 0.204 0.406
Tb2 Tb 0.134 0.553 0.252
Tb3 Tb 0.371 0.646 0.692
Tb4 Tb 0.629 0.354 0.308
Tb5 Tb 0.866 0.447 0.748
Tb6 Tb 0.971 0.796 0.594
Co1 Co 0.000 0.500 0.500
Cl1 Cl 0.091 0.874 0.333
Cl2 Cl 0.204 0.242 0.150
Cl3 Cl 0.250 0.584 0.957
Cl4 Cl 0.356 0.964 0.779
Cl5 Cl 0.449 0.323 0.579
Cl6 Cl 0.551 0.677 0.421
Cl7 Cl 0.644 0.036 0.221
Cl8 Cl 0.750 0.416 0.043
Cl9 Cl 0.796 0.758 0.850
Cl10 Cl 0.909 0.126 0.667
```

No. 7
Density functional theory data (meta-GGA r2SCAN) for crystalline TlCoCl3 at its relaxed geometry.

symmetry	P6_3/mmc (194)

```
data_TlCoCl3
_chemical_formula_sum 'Tl2 Co2 Cl6'
_space_group_name_H-M_alt 'P 1'
_space_group_IT_number 1
_cell_length_a 6.895
_cell_length_b 6.895
_cell_length_c 5.917
_cell_angle_alpha 90.00
_cell_angle_beta 90.00
_cell_angle_gamma 120.00
loop_
_space_group_symop_operation_xyz
'x,y,z'
loop_
_atom_site_label
_atom_site_type_symbol
_atom_site_fract_x
_atom_site_fract_y
_atom_site_fract_z
Tl1 Tl 0.333 0.667 0.250
Tl2 Tl 0.667 0.333 0.750
Co1 Co 0.000 0.000 0.000
Co2 Co 0.000 0.000 0.500
Cl1 Cl 0.162 0.324 0.750
Cl2 Cl 0.162 0.838 0.750
Cl3 Cl 0.324 0.162 0.250
Cl4 Cl 0.676 0.838 0.750
Cl5 Cl 0.838 0.162 0.250
Cl6 Cl 0.838 0.676 0.250
```

No. 8
Density functional theory data (meta-GGA r2SCAN) for crystalline TlCoCl3 at its relaxed geometry.

symmetry	P1 (1)

```
data_TlCoCl3
_chemical_formula_sum 'Tl8 Co8 Cl24'
_space_group_name_H-M_alt 'P 1'
_space_group_IT_number 1
_cell_length_a 5.936
_cell_length_b 11.959
_cell_length_c 13.785
_cell_angle_alpha 89.98
_cell_angle_beta 89.99
_cell_angle_gamma 89.97
loop_
_space_group_symop_operation_xyz
'x,y,z'
loop_
_atom_site_label
_atom_site_type_symbol
_atom_site_fract_x
_atom_site_fract_y
_atom_site_fract_z
Tl1 Tl 0.000 0.000 0.000
Tl2 Tl 0.000 0.498 0.749
Tl3 Tl 0.489 0.166 0.251
Tl4 Tl 0.490 0.664 0.499
Tl5 Tl 0.500 0.164 0.750
Tl6 Tl 0.500 0.664 0.000
Tl7 Tl 0.990 0.000 0.501
Tl8 Tl 0.990 0.501 0.249
Co1 Co 0.201 0.332 0.500
Co2 Co 0.201 0.832 0.250
Co3 Co 0.289 0.332 0.000
Co4 Co 0.289 0.832 0.750
Co5 Co 0.701 0.332 0.500
Co6 Co 0.701 0.832 0.250
Co7 Co 0.789 0.332 0.000
Co8 Co 0.789 0.832 0.750
Cl1 Cl 0.040 0.251 0.878
Cl2 Cl 0.040 0.493 0.000
Cl3 Cl 0.040 0.751 0.870
Cl4 Cl 0.041 0.250 0.120
Cl5 Cl 0.041 0.751 0.628
Cl6 Cl 0.041 0.993 0.748
Cl7 Cl 0.449 0.414 0.620
Cl8 Cl 0.449 0.914 0.130
Cl9 Cl 0.450 0.172 0.500
Cl10 Cl 0.450 0.413 0.379
Cl11 Cl 0.450 0.671 0.251
Cl12 Cl 0.450 0.912 0.372
Cl13 Cl 0.539 0.414 0.880
Cl14 Cl 0.540 0.672 0.751
Cl15 Cl 0.540 0.913 0.872
Cl16 Cl 0.541 0.172 0.002
Cl17 Cl 0.541 0.413 0.122
Cl18 Cl 0.541 0.915 0.630
Cl19 Cl 0.949 0.251 0.622
Cl20 Cl 0.949 0.751 0.128
Cl21 Cl 0.949 0.992 0.248
Cl22 Cl 0.950 0.250 0.380
Cl23 Cl 0.950 0.493 0.502
Cl24 Cl 0.950 0.750 0.370
```

No. 9
Density functional theory data (meta-GGA r2SCAN) for crystalline CoW2Cl10 at its relaxed geometry.

symmetry	C2/c (15)

```
data_CoW2Cl10
_chemical_formula_sum 'Co2 W4 Cl20'
_space_group_name_H-M_alt 'P 1'
_space_group_IT_number 1
_cell_length_a 8.855
_cell_length_b 8.855
_cell_length_c 12.303
_cell_angle_alpha 93.35
_cell_angle_beta 93.35
_cell_angle_gamma 139.37
loop_
_space_group_symop_operation_xyz
'x,y,z'
loop_
_atom_site_label
_atom_site_type_symbol
_atom_site_fract_x
_atom_site_fract_y
_atom_site_fract_z
Co1 Co 0.057 0.943 0.750
Co2 Co 0.943 0.057 0.250
W1 W 0.273 0.727 0.750
W2 W 0.432 0.568 0.750
W3 W 0.568 0.432 0.250
W4 W 0.727 0.273 0.250
Cl1 Cl 0.050 0.727 0.861
Cl2 Cl 0.082 0.599 0.357
Cl3 Cl 0.096 0.201 0.641
Cl4 Cl 0.201 0.096 0.141
Cl5 Cl 0.224 0.518 0.886
Cl6 Cl 0.273 0.950 0.639
Cl7 Cl 0.326 0.410 0.357
Cl8 Cl 0.401 0.918 0.143
Cl9 Cl 0.410 0.326 0.857
Cl10 Cl 0.482 0.776 0.614
Cl11 Cl 0.518 0.224 0.386
Cl12 Cl 0.590 0.674 0.143
Cl13 Cl 0.599 0.082 0.857
Cl14 Cl 0.674 0.590 0.643
Cl15 Cl 0.727 0.050 0.361
Cl16 Cl 0.776 0.482 0.114
Cl17 Cl 0.799 0.904 0.859
Cl18 Cl 0.904 0.799 0.359
Cl19 Cl 0.918 0.401 0.643
Cl20 Cl 0.950 0.273 0.139
```

Looking at VASP energy for the records above, in order, we have -21.76; -7.99; -12.08; -10.59; -11.08; -17.50; -17.99; -18.00; -14.59 eV per atom.